The following is a PBE with a Hubbard U calculation of an optimized crystal structure of LiScVO4, from the Materials Project.

Structure (extended XYZ):
```
28
Lattice="-2.548 -1.459 5.324 3.523 4.180 2.661 -5.874 6.264 -1.417" Properties=species:S:1:pos:R:3 pbc="T T T"
Sc -0.736 3.608 5.636
O -0.881 8.689 1.705
V 0.480 1.360 3.991
O -2.813 0.909 2.517
O -3.877 8.805 1.949
O -2.715 6.861 0.477
V -2.492 1.517 4.303
O -0.924 6.116 2.587
Li -3.815 4.927 4.486
V -2.393 7.467 2.262
O -2.079 8.075 4.050
V 0.579 7.311 1.953
O 0.606 1.978 5.800
O -5.511 7.007 0.769
Sc -4.112 8.354 -0.084
O -3.975 2.854 3.990
O -4.017 0.312 4.861
Sc -4.211 2.403 1.956
O -0.979 2.738 3.744
O -2.819 3.749 1.099
Li -1.084 4.057 2.080
O -2.086 5.236 5.470
O -3.919 6.263 2.821
Sc -4.162 5.379 0.936
O -2.177 2.123 6.090
Li -3.534 8.549 5.364
O -1.022 0.164 4.626
Li -1.366 0.434 1.201
```

## Properties
- Density: 3.45 Mg/m³
- E_tot: -7.66 eV per atom